A relaxed CrN3O8 crystal. Source: the Materials Project database, functional PBE with a Hubbard U.

```
CrN3O8
1.0
8.032 0.000 0.000
0.000 10.076 0.000
0.000 0.000 10.117
O N Cr
32 12 4
direct
0.791 0.691 0.266
0.222 0.670 0.753
0.842 0.499 0.449
0.998 0.513 0.409
0.884 0.306 0.246
0.722 0.830 0.753
0.513 0.457 0.885
0.156 0.378 0.767
0.998 0.013 0.591
0.372 0.498 0.941
0.342 0.001 0.449
0.013 0.543 0.115
0.656 0.122 0.767
0.842 0.999 0.551
0.498 0.487 0.591
0.872 0.502 0.059
0.156 0.878 0.233
0.291 0.309 0.734
0.513 0.957 0.115
0.384 0.194 0.246
0.013 0.043 0.885
0.372 0.998 0.059
0.291 0.809 0.266
0.222 0.170 0.247
0.872 0.002 0.941
0.722 0.330 0.247
0.384 0.694 0.754
0.656 0.622 0.233
0.498 0.987 0.409
0.791 0.191 0.734
0.342 0.501 0.551
0.884 0.806 0.754
0.607 0.731 0.989
0.335 0.984 0.742
0.107 0.269 0.011
0.835 0.516 0.742
0.107 0.769 0.989
0.335 0.484 0.258
0.607 0.231 0.011
0.610 0.746 0.511
0.610 0.246 0.489
0.110 0.254 0.489
0.835 0.016 0.258
0.110 0.754 0.511
0.347 0.499 0.747
0.347 0.999 0.253
0.847 0.001 0.747
0.847 0.501 0.253
```

Calculated values
energy relative to the elements: 1035.8 meV per atom
polymorph energy (0 for the lowest one): 0.014 eV/atom
E: -234.12 eV for the cell shown